Entry from the Materials Project: crystalline Na4EuGe2Se6 at its relaxed geometry (PBE).

Computed properties:
Its calculated volume is 347.16 Å³/cell. The value obtained for the energy with MP2020 corrections is -4.746 eV per atom. Its formation energy is -1.2249 eV per atom. The electronic total energy is -58.86 eV/cell.

The structure in POSCAR format:
```
Na4EuGe2Se6
1.0
-0.916 -5.599 -4.438
5.256 4.759 -1.271
6.288 -4.477 2.392
Na Eu Ge Se
4 1 2 6
Direct
0.673 0.327 0.000
0.327 0.673 0.000
0.000 0.000 0.000
0.834 0.166 0.500
0.166 0.834 0.500
0.551 0.551 0.341
0.449 0.449 0.659
0.901 0.584 0.251
0.580 0.899 0.250
0.101 0.420 0.750
0.416 0.099 0.749
0.267 0.265 0.250
0.735 0.733 0.750
```


Entry from the Materials Project: crystalline EuNi9Ge4 at its relaxed geometry (PBE).

Computed properties:
Its calculated volume is 379.11 Å³/cell. Its formation energy is -0.3726 eV per atom. The polymorph energy (0 for the lowest one) comes out at 0.000 eV per atom. The electronic total energy is -171.97 eV/cell.

The structure in POSCAR format:
```
EuNi9Ge4
1.0
-3.994 3.994 5.940
3.994 -3.994 5.940
3.994 3.994 -5.940
Eu Ni Ge
2 18 8
Direct
0.750 0.750 0.000
0.250 0.250 0.000
0.067 0.204 0.271
0.933 0.796 0.729
0.567 0.296 0.864
0.433 0.704 0.136
0.796 0.067 0.864
0.204 0.933 0.136
0.704 0.567 0.271
0.296 0.433 0.729
0.443 0.943 0.748
0.194 0.694 0.252
0.943 0.194 0.500
0.694 0.443 0.500
0.557 0.057 0.252
0.806 0.306 0.748
0.057 0.806 0.500
0.306 0.557 0.500
0.000 0.500 0.500
0.500 0.000 0.500
0.051 0.551 0.848
0.704 0.204 0.152
0.551 0.704 0.500
0.204 0.051 0.500
0.949 0.449 0.152
0.296 0.796 0.848
0.449 0.296 0.500
0.796 0.949 0.500
```


Entry from the Materials Project: crystalline Eu2NiGe3 at its relaxed geometry (PBE).

Computed properties:
Its calculated volume is 135.90 Å³/cell. Its formation energy is -0.5502 eV per atom. The electronic total energy is -43.46 eV/cell.

The structure in POSCAR format:
```
Eu2NiGe3
1.0
-0.119 2.458 -3.321
-3.493 -1.635 1.488
-1.100 7.311 5.451
Eu Ni Ge
2 1 3
Direct
0.000 0.000 0.019
0.000 0.000 0.481
0.333 0.667 0.244
0.333 0.667 0.699
0.667 0.333 0.253
0.667 0.333 0.804
```


Entry from the Materials Project: crystalline EuNiGe at its relaxed geometry (PBE).

Computed properties:
Its calculated volume is 246.91 Å³/cell. Its formation energy is -0.5920 eV per atom. The electronic total energy is -89.74 eV/cell.

The structure in POSCAR format:
```
EuNiGe
1.0
6.154 0.000 0.000
0.000 6.118 0.000
0.000 3.779 6.558
Eu Ni Ge
4 4 4
Direct
0.360 0.801 0.894
0.860 0.199 0.606
0.640 0.199 0.106
0.140 0.801 0.394
0.094 0.387 0.176
0.594 0.613 0.324
0.906 0.613 0.824
0.406 0.387 0.676
0.144 0.267 0.928
0.644 0.733 0.572
0.856 0.733 0.072
0.356 0.267 0.428
```


Entry from the Materials Project: crystalline EuNi9Ge4 at its relaxed geometry (PBE).

Computed properties:
Its calculated volume is 401.20 Å³/cell. Its formation energy is -0.1672 eV per atom. The polymorph energy (0 for the lowest one) comes out at 0.205 eV per atom. The electronic total energy is -166.22 eV/cell.

The structure in POSCAR format:
```
EuNi9Ge4
1.0
-1.398 -5.951 -5.480
5.382 -4.540 4.223
-6.421 3.157 4.027
Eu Ni Ge
2 18 8
Direct
0.750 0.750 0.000
0.250 0.250 0.000
0.300 0.800 0.864
0.700 0.200 0.136
0.935 0.435 0.136
0.800 0.935 0.500
0.565 0.700 0.500
0.065 0.565 0.864
0.200 0.065 0.500
0.435 0.300 0.500
0.000 0.500 0.500
0.500 0.000 0.500
0.794 0.294 0.729
0.206 0.706 0.271
0.566 0.066 0.271
0.294 0.566 0.500
0.934 0.206 0.500
0.434 0.934 0.729
0.706 0.434 0.500
0.066 0.794 0.500
0.718 0.556 0.274
0.282 0.444 0.726
0.556 0.282 0.838
0.218 0.944 0.162
0.444 0.718 0.162
0.782 0.056 0.838
0.056 0.218 0.274
0.944 0.782 0.726
```


Entry from the Materials Project: crystalline Eu2Ge2O7 at its relaxed geometry (PBE).

Computed properties:
Its calculated volume is 630.37 Å³/cell. The value obtained for the energy with MP2020 corrections is -7.791 eV per atom. Its formation energy is -1.9370 eV per atom. The electronic total energy is -323.57 eV/cell.

The structure in POSCAR format:
```
Eu2Ge2O7
1.0
7.038 0.000 0.000
0.000 7.038 0.000
0.000 0.000 12.726
Eu Ge O
8 8 28
Direct
0.650 0.118 0.365
0.350 0.882 0.865
0.118 0.650 0.635
0.618 0.850 0.115
0.382 0.150 0.615
0.850 0.618 0.885
0.150 0.382 0.385
0.882 0.350 0.135
0.844 0.095 0.878
0.156 0.905 0.378
0.095 0.844 0.122
0.595 0.656 0.628
0.405 0.344 0.128
0.656 0.595 0.372
0.344 0.405 0.872
0.905 0.156 0.622
0.857 0.305 0.954
0.143 0.695 0.454
0.305 0.857 0.046
0.805 0.643 0.704
0.195 0.357 0.204
0.643 0.805 0.296
0.357 0.195 0.796
0.695 0.143 0.546
0.661 0.940 0.927
0.339 0.060 0.427
0.940 0.661 0.073
0.440 0.839 0.677
0.560 0.161 0.177
0.839 0.440 0.323
0.161 0.560 0.823
0.060 0.339 0.573
0.303 0.303 0.000
0.197 0.803 0.250
0.803 0.197 0.750
0.697 0.697 0.500
0.077 0.976 0.627
0.524 0.577 0.877
0.476 0.423 0.377
0.577 0.524 0.123
0.423 0.476 0.623
0.923 0.024 0.127
0.976 0.077 0.373
0.024 0.923 0.873
```


Entry from the Materials Project: crystalline EuGeO3 at its relaxed geometry (PBE).

Computed properties:
Its calculated volume is 59.33 Å³/cell. The value obtained for the energy with MP2020 corrections is -8.552 eV per atom. Its formation energy is -2.6071 eV per atom. The electronic total energy is -40.70 eV/cell.

The structure in POSCAR format:
```
EuGeO3
1.0
-1.591 -3.431 0.952
2.223 -0.143 3.202
-2.782 1.848 2.014
Eu Ge O
1 1 3
Direct
0.500 0.500 0.500
0.000 0.000 0.000
0.000 0.000 0.500
0.000 0.500 0.000
0.500 0.000 0.000
```


Entry from the Materials Project: crystalline SrEuZrGeO6 at its relaxed geometry (PBE).

Computed properties:
Its calculated volume is 128.98 Å³/cell. The value obtained for the energy with MP2020 corrections is -8.616 eV per atom. Its formation energy is -3.1354 eV per atom. The electronic total energy is -82.04 eV/cell.

The structure in POSCAR format:
```
SrEuZrGeO6
1.0
-1.547 5.426 -0.570
-5.460 1.457 0.479
-1.766 2.935 4.520
Sr Eu Zr Ge O
1 1 1 1 6
Direct
0.250 0.250 0.250
0.750 0.750 0.750
0.500 0.500 0.500
0.000 0.000 0.000
0.761 0.239 0.239
0.239 0.761 0.761
0.761 0.239 0.761
0.239 0.761 0.239
0.761 0.761 0.239
0.239 0.239 0.761
```


Entry from the Materials Project: crystalline EuGe3Pd at its relaxed geometry (PBE).

Computed properties:
Its calculated volume is 103.49 Å³/cell. Its formation energy is -0.5872 eV per atom. The electronic total energy is -32.24 eV/cell.

The structure in POSCAR format:
```
EuGe3Pd
1.0
-1.601 -0.636 5.822
-5.627 -1.975 1.139
4.653 -1.678 -3.521
Eu Ge Pd
1 3 1
Direct
0.000 0.000 0.000
0.258 0.758 0.500
0.758 0.258 0.500
0.409 0.409 0.000
0.648 0.648 0.000
```


Entry from the Materials Project: crystalline EuGePd2 at its relaxed geometry (PBE).

Computed properties:
Its calculated volume is 321.16 Å³/cell. Its formation energy is -0.7755 eV per atom. The electronic total energy is -113.37 eV/cell.

The structure in POSCAR format:
```
EuGePd2
1.0
-1.148 4.161 3.973
-2.146 -5.022 4.640
7.135 -0.581 2.671
Eu Ge Pd
4 4 8
Direct
0.358 0.750 0.022
0.142 0.750 0.522
0.642 0.250 0.978
0.858 0.250 0.478
0.639 0.750 0.377
0.861 0.750 0.877
0.361 0.250 0.623
0.139 0.250 0.123
0.910 0.554 0.177
0.590 0.946 0.677
0.090 0.054 0.823
0.410 0.446 0.323
0.090 0.446 0.823
0.410 0.054 0.323
0.910 0.946 0.177
0.590 0.554 0.677
```


Entry from the Materials Project: crystalline EuGePd at its relaxed geometry (PBE).

Computed properties:
Its calculated volume is 269.46 Å³/cell. Its formation energy is -0.7960 eV per atom. The electronic total energy is -89.79 eV/cell.

The structure in POSCAR format:
```
EuGePd
1.0
6.070 0.000 0.000
0.000 6.196 0.000
0.000 -2.562 7.165
Eu Ge Pd
4 4 4
Direct
0.365 0.820 0.618
0.865 0.680 0.882
0.635 0.180 0.382
0.135 0.320 0.118
0.366 0.820 0.049
0.866 0.680 0.451
0.634 0.180 0.951
0.134 0.320 0.549
0.102 0.922 0.313
0.602 0.578 0.187
0.898 0.078 0.687
0.398 0.422 0.813
```


Entry from the Materials Project: crystalline EuGePt at its relaxed geometry (PBE).

Computed properties:
Its calculated volume is 286.10 Å³/cell. Its formation energy is -0.9212 eV per atom. The electronic total energy is -94.86 eV/cell.

The structure in POSCAR format:
```
EuGePt
1.0
-0.192 1.474 -6.419
-6.051 -2.576 -0.410
-2.601 5.883 1.429
Eu Ge Pt
4 4 4
Direct
0.128 0.128 0.128
0.628 0.372 0.872
0.372 0.872 0.628
0.872 0.628 0.372
0.326 0.674 0.174
0.174 0.326 0.674
0.674 0.174 0.326
0.826 0.826 0.826
0.424 0.424 0.424
0.076 0.576 0.924
0.924 0.076 0.576
0.576 0.924 0.076
```


Entry from the Materials Project: crystalline RbEuGeS4 at its relaxed geometry (PBE).

Computed properties:
Its calculated volume is 398.27 Å³/cell. The value obtained for the energy with MP2020 corrections is -6.006 eV per atom. Its formation energy is -1.3761 eV per atom. The electronic total energy is -80.05 eV/cell.

The structure in POSCAR format:
```
RbEuGeS4
1.0
-0.190 -1.088 6.552
4.005 -5.440 -0.788
8.858 2.727 0.710
Rb Eu Ge S
2 2 2 8
Direct
0.750 0.232 0.564
0.250 0.768 0.436
0.767 0.266 0.052
0.267 0.734 0.948
0.736 0.720 0.173
0.236 0.280 0.827
0.746 0.909 0.326
0.246 0.091 0.674
0.492 0.481 0.217
0.992 0.519 0.783
0.502 0.491 0.797
0.002 0.509 0.203
0.684 0.925 0.936
0.184 0.075 0.064
```


Entry from the Materials Project: crystalline EuGe2Rh2 at its relaxed geometry (PBE).

Computed properties:
Its calculated volume is 94.38 Å³/cell. Its formation energy is -0.8314 eV per atom. The electronic total energy is -38.39 eV/cell.

The structure in POSCAR format:
```
EuGe2Rh2
1.0
4.202 0.000 0.000
0.000 4.202 0.000
-2.101 -2.101 5.346
Eu Ge Rh
1 2 2
Direct
0.000 0.000 0.000
0.371 0.371 0.742
0.629 0.629 0.258
0.250 0.750 0.500
0.750 0.250 0.500
```


Entry from the Materials Project: crystalline EuGe7Rh3 at its relaxed geometry (PBE).

Computed properties:
Its calculated volume is 386.28 Å³/cell. Its formation energy is -0.4957 eV per atom. The electronic total energy is -140.33 eV/cell.

The structure in POSCAR format:
```
EuGe7Rh3
1.0
-0.008 -3.360 7.666
-1.056 -8.187 1.383
6.123 -4.973 2.800
Eu Ge Rh
2 14 6
Direct
0.500 0.500 0.500
0.000 0.000 0.000
0.351 0.167 0.575
0.575 0.351 0.167
0.167 0.575 0.351
0.075 0.667 0.851
0.851 0.075 0.667
0.667 0.851 0.075
0.649 0.833 0.425
0.425 0.649 0.833
0.833 0.425 0.649
0.925 0.333 0.149
0.149 0.925 0.333
0.333 0.149 0.925
0.250 0.250 0.250
0.750 0.750 0.750
0.934 0.566 0.250
0.250 0.934 0.566
0.566 0.250 0.934
0.750 0.066 0.434
0.434 0.750 0.066
0.066 0.434 0.750
```


Entry from the Materials Project: crystalline EuGe2Ru2 at its relaxed geometry (PBE).

Computed properties:
Its calculated volume is 94.64 Å³/cell. Its formation energy is -0.5582 eV per atom. The electronic total energy is -40.84 eV/cell.

The structure in POSCAR format:
```
EuGe2Ru2
1.0
-5.042 0.359 3.138
-5.176 -0.018 -2.933
5.012 -3.205 0.088
Eu Ge Ru
1 2 2
Direct
0.000 0.000 0.000
0.635 0.635 0.000
0.365 0.365 0.000
0.250 0.750 0.500
0.750 0.250 0.500
```


Entry from the Materials Project: crystalline EuGeS3 at its relaxed geometry (PBE).

Computed properties:
Its calculated volume is 771.15 Å³/cell. The value obtained for the energy with MP2020 corrections is -6.824 eV per atom. Its formation energy is -1.3661 eV per atom. The electronic total energy is -195.67 eV/cell.

The structure in POSCAR format:
```
EuGeS3
1.0
8.472 0.000 0.000
2.186 8.259 0.000
1.940 3.883 11.021
Eu Ge S
6 6 18
Direct
0.754 0.739 0.500
0.574 0.945 0.815
0.246 0.261 0.500
0.108 0.742 0.137
0.892 0.258 0.863
0.426 0.055 0.185
0.095 0.841 0.804
0.769 0.275 0.471
0.905 0.159 0.196
0.231 0.725 0.529
0.447 0.481 0.813
0.553 0.519 0.187
0.392 0.909 0.458
0.218 0.578 0.922
0.995 0.179 0.359
0.650 0.621 0.766
0.117 0.655 0.404
0.881 0.889 0.931
0.360 0.461 0.646
0.005 0.821 0.641
0.640 0.539 0.354
0.119 0.111 0.069
0.608 0.091 0.542
0.226 0.051 0.764
0.549 0.213 0.923
0.451 0.787 0.077
0.782 0.422 0.078
0.774 0.949 0.236
0.883 0.345 0.596
0.350 0.379 0.234
```